# 1
# CaNi3O7 | Materials Project | PBE+U | optimized geometry
# * formation enthalpy at 0 K: -0.98 eV/atom
data_CaNi3O7
_chemical_formula_sum 'Ca4 Ni12 O28'
_cell_length_a 11.4232
_cell_length_b 10.2490
_cell_length_c 5.2655
_cell_angle_alpha 90.00
_cell_angle_beta 90.00
_cell_angle_gamma 90.00
_space_group_name_H-M_alt 'P n m a'
_space_group_IT_number 62
loop_
_space_group_symop_operation_xyz
'x,y,z'
'-x,-y,-z'
'-x+1/2,-y,z+1/2'
'x+1/2,y,-z+1/2'
'x+1/2,-y+1/2,-z+1/2'
'-x+1/2,y+1/2,z+1/2'
'-x,y+1/2,-z'
'x,-y+1/2,z'
loop_
_atom_site_label
_atom_site_type_symbol
_atom_site_fract_x
_atom_site_fract_y
_atom_site_fract_z
Ca1 Ca 0.0858 0.2500 0.1741
Ni1 Ni 0.2002 0.5243 0.7003
Ni2 Ni 0.2384 0.7500 0.1760
O1 O 0.0592 0.5938 0.7594
O2 O 0.0762 0.7500 0.0890
O3 O 0.2060 0.1199 0.4518
O4 O 0.2273 0.1206 0.9281



# 2
# CaNi2O4 | Materials Project | PBE+U | optimized geometry
# * offset from the most stable computed form: 356 meV per atom
# * formation enthalpy at 0 K: -1.31 eV/atom
data_CaNi2O4
_chemical_formula_sum 'Ca12 Ni24 O48'
_cell_length_a 10.7559
_cell_length_b 6.1697
_cell_length_c 14.8609
_cell_angle_alpha 90.00
_cell_angle_beta 93.01
_cell_angle_gamma 90.00
_space_group_name_H-M_alt 'C 1 m 1'
_space_group_IT_number 8
loop_
_space_group_symop_operation_xyz
'x,y,z'
'x,-y,z'
'x+1/2,y+1/2,z'
'x+1/2,-y+1/2,z'
loop_
_atom_site_label
_atom_site_type_symbol
_atom_site_fract_x
_atom_site_fract_y
_atom_site_fract_z
Ca1 Ca 0.0000 0.0000 0.0000
Ca2 Ca 0.0001 0.5000 0.4949
Ca3 Ca 0.1613 0.0000 0.8272
Ca4 Ca 0.3183 0.0000 0.2886
Ca5 Ca 0.3246 0.0000 0.6576
Ca6 Ca 0.3266 0.5000 0.1621
Ni1 Ni 0.0126 0.0000 0.3713
Ni2 Ni 0.0784 0.2573 0.1660
Ni3 Ni 0.1544 0.5000 0.9471
Ni4 Ni 0.1623 0.5000 0.3265
Ni5 Ni 0.1698 0.5000 0.7081
Ni6 Ni 0.2452 0.2590 0.4940
Ni7 Ni 0.3399 0.0000 0.0407
Ni8 Ni 0.4117 0.2477 0.8290
Ni9 Ni 0.4818 0.5000 0.6186
O1 O 0.0153 0.0000 0.2400
O2 O 0.0197 0.5000 0.2418
O3 O 0.0643 0.2575 0.9052
O4 O 0.1040 0.2740 0.4047
O5 O 0.1386 0.0000 0.5726
O6 O 0.1454 0.5000 0.0747
O7 O 0.1716 0.0000 0.1024
O8 O 0.1886 0.5000 0.5686
O9 O 0.2141 0.2872 0.2484
O10 O 0.2628 0.2554 0.7527
O11 O 0.3015 0.0000 0.4361
O12 O 0.3151 0.5000 0.3997
O13 O 0.3231 0.5000 0.9039
O14 O 0.3488 0.0000 0.9094
O15 O 0.3973 0.2611 0.5676
O16 O 0.4295 0.2410 0.0931
O17 O 0.4739 0.5000 0.7472
O18 O 0.4980 0.0000 0.7565



# 3
# CaNi2O4 | Materials Project | PBE+U | optimized geometry
# * offset from the most stable computed form: 12 meV per atom
# * formation enthalpy at 0 K: -1.65 eV/atom
data_CaNi2O4
_chemical_formula_sum 'Ca4 Ni8 O16'
_cell_length_a 5.7936
_cell_length_b 11.0075
_cell_length_c 5.0633
_cell_angle_alpha 90.00
_cell_angle_beta 90.00
_cell_angle_gamma 90.00
_space_group_name_H-M_alt 'P m m n'
_space_group_IT_number 59
loop_
_space_group_symop_operation_xyz
'x,y,z'
'-x,-y,-z'
'-x+1/2,-y+1/2,z'
'x+1/2,y+1/2,-z'
'x+1/2,-y,-z'
'-x+1/2,y,z'
'-x,y+1/2,-z'
'x,-y+1/2,z'
loop_
_atom_site_label
_atom_site_type_symbol
_atom_site_fract_x
_atom_site_fract_y
_atom_site_fract_z
Ca1 Ca 0.2500 0.2500 0.0300
Ca2 Ca 0.2500 0.7500 0.3478
Ni1 Ni 0.0000 0.0000 0.5000
Ni2 Ni 0.2500 0.5079 0.9959
O1 O 0.0017 0.1049 0.8410
O2 O 0.2500 0.0849 0.3181
O3 O 0.2500 0.5916 0.6600



# 4
# CaNi2O4 | Materials Project | PBE+U | optimized geometry
# * offset from the most stable computed form: 95 meV per atom
# * formation enthalpy at 0 K: -1.57 eV/atom
data_CaNi2O4
_chemical_formula_sum 'Ca6 Ni12 O24'
_cell_length_a 6.1417
_cell_length_b 6.1417
_cell_length_c 14.9945
_cell_angle_alpha 90.00
_cell_angle_beta 90.00
_cell_angle_gamma 120.00
_space_group_name_H-M_alt 'P 3 m 1'
_space_group_IT_number 156
loop_
_space_group_symop_operation_xyz
'x,y,z'
'-y,x-y,z'
'-x+y,-x,z'
'-y,-x,z'
'-x+y,y,z'
'x,x-y,z'
loop_
_atom_site_label
_atom_site_type_symbol
_atom_site_fract_x
_atom_site_fract_y
_atom_site_fract_z
Ca1 Ca 0.0000 0.0000 0.0000
Ca2 Ca 0.0000 0.0000 0.2398
Ca3 Ca 0.0000 0.0000 0.6035
Ca4 Ca 0.3333 0.6667 0.6609
Ca5 Ca 0.6667 0.3333 0.3595
Ca6 Ca 0.6667 0.3333 0.9499
Ni1 Ni 0.1727 0.3455 0.4411
Ni2 Ni 0.3246 0.1623 0.7797
Ni3 Ni 0.3333 0.6667 0.2757
Ni4 Ni 0.3333 0.6667 0.8908
Ni5 Ni 0.5020 0.0039 0.1248
Ni6 Ni 0.6667 0.3333 0.5672
O1 O 0.0000 0.0000 0.3867
O2 O 0.0000 0.0000 0.8557
O3 O 0.0668 0.5334 0.3524
O4 O 0.1442 0.2884 0.7153
O5 O 0.1980 0.3960 0.1914
O6 O 0.3333 0.6667 0.0319
O7 O 0.3333 0.6667 0.5074
O8 O 0.3506 0.1753 0.5100
O9 O 0.3700 0.1850 0.0647
O10 O 0.5113 0.0226 0.8436
O11 O 0.6667 0.3333 0.2030
O12 O 0.6667 0.3333 0.6902